[1]
A geometry-optimized Sr2YAlW2O7 structure. Source: the Materials Project database, functional GGA+U.

Unit cell a=12.2310 b=12.2310 c=12.2310 alpha=38.65 beta=152.48 gamma=153.40
Closest atoms and distances in Å follow each position.
Positions (direct):
1 Sr 0.0318 0.1613 0.1931  5 O 2.44-2.60
2 Sr 0.0318 0.3387 0.3706  5 O 2.44-2.60
3 Sr 0.9682 0.6613 0.6294  5 O 2.44-2.60
4 Sr 0.9682 0.8387 0.8069  5 O 2.44-2.60
5 Y 0.0228 0.0228 0.0000  4 O 2.32-2.33
6 Y 0.0228 0.5228 0.5000  4 O 2.32-2.33
7 Al 0.4174 0.7440 0.1734  4 O 1.76-1.83
8 Al 0.5705 0.2440 0.8266  4 O 1.76-1.83
9 W 0.5218 0.5779 0.0541  4 O 2.11-2.13
10 W 0.5218 0.9677 0.4439  4 O 2.11-2.13
11 W 0.5238 0.0779 0.5561  4 O 2.11-2.13
12 W 0.5238 0.4677 0.9459  4 O 2.11-2.13
13 O 0.0153 0.4335 0.0818  2 Al 1.83
14 O 0.0211 0.1422 0.7310  2 W 2.11-2.13, 1 Y 2.32
15 O 0.0211 0.7900 0.3789  2 W 2.11-2.13, 1 Y 2.32
16 O 0.0255 0.4068 0.7685  2 W 2.12-2.13, 1 Y 2.33
17 O 0.0255 0.7570 0.1188  2 W 2.12-2.13, 1 Y 2.33
18 O 0.3517 0.9335 0.9182  2 Al 1.83
19 O 0.4112 0.2900 0.2690  2 W 2.11-2.13, 1 Y 2.32
20 O 0.4112 0.6422 0.6211  2 W 2.11-2.13, 1 Y 2.32
21 O 0.4875 0.2320 0.6222  1 Al 1.76
22 O 0.4875 0.3654 0.7555  1 Al 1.76
23 O 0.6098 0.7320 0.2445  1 Al 1.76
24 O 0.6098 0.8654 0.3778  1 Al 1.76
25 O 0.6383 0.2570 0.2315  2 W 2.12-2.13, 1 Y 2.33
26 O 0.6383 0.9068 0.8812  2 W 2.12-2.13, 1 Y 2.33

=====

[2]
A geometry-optimized Na3Mn2P2C2O14 structure. Source: the Materials Project database, functional GGA+U.

Results
Relative energy among the computed polymorphs = 0.001 eV per atom

Unit cell a=8.3196 b=8.4547 c=10.2869 alpha=108.41 beta=106.45 gamma=103.25
Closest atoms and distances in Å follow each position.
Positions (direct):
1 Na 0.0041 0.4917 0.2371  4 O 2.28-2.43
2 Na 0.2346 0.2321 0.2335  5 O 2.29-2.47
3 Na 0.2709 0.2317 0.7507  2 O 2.24-2.45
4 Na 0.7291 0.7683 0.2493  2 O 2.24-2.45
5 Na 0.7654 0.7679 0.7665  5 O 2.29-2.47
6 Na 0.9959 0.5083 0.7629  4 O 2.28-2.43
7 Mn 0.2019 0.9389 0.3475  6 O 1.99-2.22
8 Mn 0.3079 0.5616 0.6505  6 O 1.95-2.01
9 Mn 0.6921 0.4384 0.3495  6 O 1.95-2.01
10 Mn 0.7981 0.0611 0.6525  6 O 1.99-2.22
11 P 0.0553 0.8001 0.5720  4 O 1.53-1.57
12 P 0.4476 0.6856 0.4245  4 O 1.52-1.59
13 P 0.5524 0.3144 0.5755  4 O 1.52-1.59
14 P 0.9447 0.1999 0.4280  4 O 1.53-1.57
15 C 0.0273 0.7811 0.0794  3 O 1.25-1.32
16 C 0.4672 0.7220 0.9202  3 O 1.23-1.33
17 C 0.5328 0.2780 0.0798  3 O 1.23-1.33
18 C 0.9727 0.2189 0.9206  3 O 1.25-1.32
19 O 0.0194 0.2669 0.8221  1 C 1.32
20 O 0.0233 0.0964 0.3277  1 P 1.53
21 O 0.0579 0.2978 0.0579  1 C 1.25
22 O 0.0937 0.3438 0.5792  1 P 1.57
23 O 0.1559 0.7068 0.6586  1 P 1.56
24 O 0.1747 0.9212 0.1437  1 C 1.31
25 O 0.1814 0.9288 0.5329  1 P 1.56
26 O 0.3178 0.5797 0.8520  1 C 1.33
27 O 0.3201 0.5512 0.4616  1 P 1.59
28 O 0.3318 0.7519 0.3264  1 P 1.52
29 O 0.4061 0.1681 0.4296  1 P 1.54
30 O 0.4484 0.2032 0.9448  1 C 1.23
31 O 0.4682 0.4239 0.6732  1 P 1.57
32 O 0.4877 0.2312 0.1797  1 C 1.33
33 O 0.5123 0.7688 0.8203  1 C 1.33
34 O 0.5318 0.5761 0.3268  1 P 1.57
35 O 0.5516 0.7968 0.0552  1 C 1.23
36 O 0.5939 0.8319 0.5704  1 P 1.54
37 O 0.6682 0.2481 0.6736  1 P 1.52
38 O 0.6799 0.4488 0.5384  1 P 1.59
39 O 0.6822 0.4203 0.1480  1 C 1.33
40 O 0.8186 0.0712 0.4671  1 P 1.56
41 O 0.8253 0.0788 0.8563  1 C 1.31
42 O 0.8441 0.2932 0.3414  1 P 1.56
43 O 0.9063 0.6562 0.4208  1 P 1.57
44 O 0.9421 0.7022 0.9421  1 C 1.25
45 O 0.9767 0.9036 0.6723  1 P 1.53
46 O 0.9806 0.7331 0.1779  1 C 1.32

=====

[3]
A geometry-optimized Mo2P3O12 structure. Source: the Materials Project database, functional GGA+U.

Results
Relative energy among the computed polymorphs = 0.019 eV per atom

Unit cell a=8.9505 b=8.9505 c=8.9505 alpha=58.55 beta=58.55 gamma=58.55
Closest atoms and distances in Å follow each position.
Positions (direct):
1 Mo 0.1417 0.1417 0.1417  6 O 1.98-2.00
2 Mo 0.3583 0.3583 0.3583  6 O 1.98-2.00
3 Mo 0.6417 0.6417 0.6417  6 O 1.98-2.00
4 Mo 0.8583 0.8583 0.8583  6 O 1.98-2.00
5 P 0.0341 0.7500 0.4659  4 O 1.54
6 P 0.2500 0.5341 0.9659  4 O 1.54
7 P 0.4659 0.0341 0.7500  4 O 1.54
8 P 0.5341 0.9659 0.2500  4 O 1.54
9 P 0.7500 0.4659 0.0341  4 O 1.54
10 P 0.9659 0.2500 0.5341  4 O 1.54
11 O 0.0049 0.7790 0.6353  1 P 1.54
12 O 0.0614 0.9214 0.2890  1 P 1.54
13 O 0.0786 0.7110 0.9386  1 P 1.54
14 O 0.1353 0.2790 0.5049  1 P 1.54
15 O 0.2110 0.5786 0.4386  1 P 1.54
16 O 0.2210 0.3647 0.9951  1 P 1.54
17 O 0.2790 0.5049 0.1353  1 P 1.54
18 O 0.2890 0.0614 0.9214  1 P 1.54
19 O 0.3647 0.9951 0.2210  1 P 1.54
20 O 0.4214 0.5614 0.7890  1 P 1.54
21 O 0.4386 0.2110 0.5786  1 P 1.54
22 O 0.4951 0.8647 0.7210  1 P 1.54
23 O 0.5049 0.1353 0.2790  1 P 1.54
24 O 0.5614 0.7890 0.4214  1 P 1.54
25 O 0.5786 0.4386 0.2110  1 P 1.54
26 O 0.6353 0.0049 0.7790  1 P 1.54
27 O 0.7110 0.9386 0.0786  1 P 1.54
28 O 0.7210 0.4951 0.8647  1 P 1.54
29 O 0.7790 0.6353 0.0049  1 P 1.54
30 O 0.7890 0.4214 0.5614  1 P 1.54
31 O 0.8647 0.7210 0.4951  1 P 1.54
32 O 0.9214 0.2890 0.0614  1 P 1.54
33 O 0.9386 0.0786 0.7110  1 P 1.54
34 O 0.9951 0.2210 0.3647  1 P 1.54

=====

[4]
A geometry-optimized V5BiO10 structure. Source: the Materials Project database, functional GGA+U.

Results
Relative energy among the computed polymorphs = 0.039 eV per atom

Unit cell a=10.0879 b=10.0894 c=10.1766 alpha=119.68 beta=119.68 gamma=90.03
Closest atoms and distances in Å follow each position.
Positions (direct):
1 V 0.0000 0.0000 0.0000  5 O 1.87-2.00
2 V 0.0075 0.7256 0.3962  5 O 1.87-2.00
3 V 0.1194 0.7833 0.1943  6 O 1.88-2.04
4 V 0.1370 0.5122 0.5965  5 O 1.87-2.01
5 V 0.1937 0.1951 0.3918  5 O 1.87-2.01
6 V 0.2096 0.9240 0.7949  6 O 1.87-2.09
7 V 0.3255 0.9874 0.5997  6 O 1.87-2.09
8 V 0.3376 0.7147 0.0006  5 O 1.87-2.01
9 V 0.3966 0.3993 0.7979  6 O 1.87-2.09
10 V 0.4138 0.1270 0.1991  6 O 1.87-2.03
11 V 0.5254 0.1869 0.0001  6 O 1.87-2.09
12 V 0.5342 0.9107 0.3932  5 O 1.86-2.01
13 V 0.5942 0.5988 0.1932  6 O 1.87-2.05
14 V 0.6089 0.3267 0.5991  6 O 1.88-2.10
15 V 0.7213 0.3850 0.3940  6 O 1.87-2.09
16 V 0.7358 0.1123 0.7964  6 O 1.87-2.09
17 V 0.7988 0.8012 0.6021  6 O 1.88-2.08
18 V 0.8115 0.5273 0.0001  5 O 1.87-2.00
19 V 0.9235 0.5845 0.7954  6 O 1.87-2.10
20 V 0.9377 0.3126 0.1985  6 O 1.87-2.04
21 Bi 0.1536 0.3435 0.9765  4 O 2.43-2.50
22 Bi 0.3815 0.5711 0.4203  4 O 2.42-2.53
23 Bi 0.5897 0.7791 0.8430  4 O 2.49-2.51
24 Bi 0.9460 0.1340 0.5535  4 O 2.48-2.52
25 O 0.0065 0.8130 0.9953  3 V 1.87-1.95
26 O 0.0130 0.5440 0.9908  3 V 1.99-2.09
27 O 0.0246 0.9182 0.7955  3 V 1.87-1.97
28 O 0.1092 0.5905 0.7958  3 V 1.87-1.97
29 O 0.1171 0.9621 0.5953  3 V 2.00-2.09
30 O 0.1307 0.6981 0.5982  3 V 1.87-1.97
31 O 0.1582 0.3035 0.5930  3 V 2.01-2.10
32 O 0.1756 0.4068 0.4012  3 V 1.98-2.10
33 O 0.2055 0.0124 0.3968  3 V 1.87-1.96
34 O 0.2179 0.7519 0.4024  3 V 1.99-2.10
35 O 0.2278 0.1203 0.1986  3 V 1.87-1.95
36 O 0.3065 0.7901 0.1968  3 V 1.88-1.95
37 O 0.3160 0.1590 0.9929  3 V 1.99-2.09
38 O 0.3293 0.8984 0.9976  3 V 1.87-1.96
39 O 0.3560 0.5039 0.9922  3 V 1.98-2.10
40 O 0.3736 0.6057 0.7999  3 V 2.01-2.09
41 O 0.4037 0.2130 0.7965  3 V 1.87-1.97
42 O 0.4175 0.9501 0.7999  3 V 2.01-2.09
43 O 0.4223 0.3203 0.5974  3 V 1.88-1.97
44 O 0.5104 0.9906 0.5983  3 V 1.87-1.97
45 O 0.5204 0.3662 0.4034  3 V 1.99-2.09
46 O 0.5275 0.0983 0.3999  3 V 1.86-1.96
47 O 0.5628 0.7082 0.4022  3 V 2.00-2.10
48 O 0.5633 0.7957 0.1971  3 V 1.92-1.99
49 O 0.6011 0.4150 0.1968  3 V 1.87-1.95
50 O 0.6080 0.1596 0.1989  3 V 1.92-1.99
51 O 0.6250 0.5168 0.9964  3 V 1.87-1.95
52 O 0.7088 0.1939 0.9969  3 V 1.87-1.96
53 O 0.7197 0.5645 0.8009  3 V 2.00-2.10
54 O 0.7283 0.2980 0.7967  3 V 1.87-1.97
55 O 0.7628 0.9093 0.8024  3 V 2.00-2.09
56 O 0.7708 0.0023 0.5950  3 V 2.01-2.08
57 O 0.8031 0.6138 0.5988  3 V 1.88-1.97
58 O 0.8129 0.3485 0.5940  3 V 2.00-2.10
59 O 0.8235 0.7181 0.3990  3 V 1.87-1.97
60 O 0.9082 0.3966 0.3980  3 V 1.87-1.96
61 O 0.9266 0.7523 0.1972  3 V 1.92-1.99
62 O 0.9300 0.4973 0.1975  3 V 1.87-1.96
63 O 0.9702 0.1164 0.1969  3 V 1.91-2.00
64 O 0.9717 0.2037 0.9924  3 V 1.99-2.11

=====

[5]
A geometry-optimized Fe5O7F3 structure. Source: the Materials Project database, functional GGA+U.

Results
Relative energy among the computed polymorphs = 0.029 eV per atom

Unit cell a=4.6553 b=4.6585 c=15.2078 alpha=90.02 beta=90.00 gamma=90.16
Closest atoms and distances in Å follow each position.
Positions (direct):
1 Fe 0.0000 0.0000 0.0000  5 O 1.95-1.98, 1 F 2.09
2 Fe 0.0037 0.9942 0.8056  4 O 1.95-1.98, 2 F 2.09-2.10
3 Fe 0.0143 0.0177 0.3984  4 O 1.92-1.99, 2 F 2.06-2.07
4 Fe 0.0219 0.0260 0.6016  4 O 1.91-1.99, 2 F 2.06-2.07
5 Fe 0.0517 0.0411 0.1939  4 O 1.95-1.97, 2 F 2.10-2.11
6 Fe 0.4831 0.5406 0.3065  4 O 1.94-1.97, 2 F 2.11-2.13
7 Fe 0.4999 0.5579 0.6933  4 O 1.94-1.96, 2 F 2.12-2.13
8 Fe 0.5234 0.5200 0.1016  4 O 1.91-2.01, 2 F 2.06
9 Fe 0.5358 0.5316 0.8990  4 O 1.92-2.02, 2 F 2.08-2.09
10 Fe 0.5446 0.4952 0.5001  5 O 1.96-2.00, 1 F 2.11
11 O 0.1956 0.8408 0.7001  3 Fe 1.91-1.97
12 O 0.2027 0.8486 0.2992  3 Fe 1.92-1.97
13 O 0.2071 0.8137 0.9043  3 Fe 1.95-2.02
14 O 0.2183 0.8241 0.0972  3 Fe 1.95-2.01
15 O 0.3209 0.3172 0.4023  3 Fe 1.94-2.00
16 O 0.3257 0.3247 0.6002  3 Fe 1.96-2.00
17 O 0.3351 0.3510 0.2002  3 Fe 1.91-1.97
18 O 0.6930 0.7141 0.7966  3 Fe 1.92-1.95
19 O 0.7064 0.7000 0.0037  3 Fe 1.91-1.95
20 O 0.7167 0.7146 0.3999  3 Fe 1.96-2.00
21 O 0.7235 0.7191 0.5973  3 Fe 1.94-1.99
22 O 0.8161 0.2064 0.9030  3 Fe 1.96-2.00
23 O 0.8270 0.2159 0.0984  3 Fe 1.97-2.00
24 O 0.8412 0.1983 0.4999  3 Fe 1.93-1.96
25 F 0.2256 0.8146 0.4998  3 Fe 2.06-2.11
26 F 0.3080 0.3246 0.7986  3 Fe 2.09-2.13
27 F 0.3194 0.3159 0.9987  3 Fe 2.06-2.09
28 F 0.7182 0.7355 0.2037  3 Fe 2.06-2.11
29 F 0.8092 0.2263 0.7033  3 Fe 2.06-2.12
30 F 0.8187 0.2338 0.2962  3 Fe 2.07-2.13

=====

[6]
A geometry-optimized CoH4Br2O2 structure. Source: the Materials Project database, functional GGA+U.

Unit cell a=5.9179 b=5.9179 c=3.8112 alpha=97.57 beta=97.57 gamma=95.31
Closest atoms and distances in Å follow each position.
Positions (direct):
1 Co 0.0000 0.0000 0.0000  2 O 2.03
2 H 0.2109 0.6144 0.8556  1 O 0.99
3 H 0.3856 0.7891 0.1444  1 O 0.99
4 H 0.6144 0.2109 0.8556  1 O 0.99
5 H 0.7891 0.3856 0.1444  1 O 0.99
6 Br 0.2372 0.2372 0.5913  2 H 2.35
7 Br 0.7628 0.7628 0.4087  2 H 2.35
8 O 0.2321 0.7679 0.0000  2 H 0.99
9 O 0.7679 0.2321 0.0000  2 H 0.99

=====

[7]
A geometry-optimized NaV13O18 structure. Source: the Materials Project database, functional GGA+U.

Results
Relative energy among the computed polymorphs = 0.020 eV per atom

Unit cell a=7.3180 b=7.9416 c=7.9519 alpha=110.97 beta=107.18 gamma=108.10
Closest atoms and distances in Å follow each position.
Positions (direct):
1 Na 0.0000 0.0000 0.0000  12 O 3.02-3.19
2 V 0.0814 0.2026 0.5003  6 O 2.02-2.17
3 V 0.1206 0.6955 0.1969  6 O 2.00-2.23
4 V 0.2261 0.6279 0.5796  6 O 2.09-2.18
5 V 0.3454 0.5753 0.9439  6 O 2.11-2.23
6 V 0.4023 0.0532 0.6317  6 O 2.00-2.15
7 V 0.4269 0.4962 0.2973  5 O 2.02-2.15
8 V 0.4928 0.9888 0.9923  6 O 2.03-2.14
9 V 0.5834 0.5027 0.7037  6 O 1.98-2.16
10 V 0.6055 0.9543 0.3735  6 O 2.11-2.16
11 V 0.6408 0.4218 0.0525  6 O 2.08-2.16
12 V 0.7632 0.3603 0.4161  6 O 2.00-2.15
13 V 0.8826 0.3043 0.8036  6 O 1.97-2.13
14 V 0.9245 0.8033 0.5000  6 O 1.97-2.17
15 O 0.0471 0.4405 0.6720  5 V 2.04-2.17
16 O 0.1141 0.9479 0.3851  4 V 2.02-2.14
17 O 0.1504 0.4361 0.0577  4 V 1.97-2.14
18 O 0.2136 0.8973 0.7275  4 V 2.02-2.14
19 O 0.2897 0.3854 0.4462  4 V 2.02-2.11
20 O 0.3266 0.8420 0.1042  4 V 2.03-2.12
21 O 0.3807 0.3151 0.7633  5 V 2.05-2.20
22 O 0.3858 0.7763 0.4478  5 V 2.04-2.28
23 O 0.4796 0.2555 0.1602  4 V 2.05-2.11
24 O 0.5201 0.7398 0.8375  4 V 2.03-2.13
25 O 0.6151 0.2331 0.5561  5 V 2.07-2.16
26 O 0.6254 0.6812 0.2334  5 V 2.04-2.23
27 O 0.6677 0.1584 0.8850  4 V 2.00-2.15
28 O 0.7217 0.6090 0.5591  4 V 1.98-2.15
29 O 0.7828 0.1110 0.2606  4 V 2.00-2.14
30 O 0.8407 0.5634 0.9481  4 V 2.00-2.13
31 O 0.9067 0.0589 0.6190  4 V 1.97-2.13
32 O 0.9337 0.5472 0.3247  5 V 2.05-2.23

=====

[8]
A geometry-optimized LiNbCrO4 structure. Source: the Materials Project database, functional GGA+U.

Results
Relative energy among the computed polymorphs = 0.011 eV per atom

Unit cell a=6.1424 b=6.1511 c=10.3908 alpha=87.88 beta=105.11 gamma=60.19
Closest atoms and distances in Å follow each position.
Positions (direct):
1 Li 0.1208 0.9356 0.1854  4 O 2.01-2.08
2 Li 0.8791 0.5644 0.3146  4 O 2.01-2.08
3 Li 0.1208 0.4355 0.6854  4 O 2.01-2.08
4 Li 0.8791 0.0644 0.8146  4 O 2.01-2.08
5 O 0.2387 0.1073 0.6151  1 Li 2.02, 1 Cr 2.03, 2 Nb 2.11
6 O 0.2775 0.8765 0.8850  1 Li 2.01, 1 Cr 2.03, 2 Nb 2.11
7 O 0.2687 0.8735 0.3954  1 Nb 2.04, 2 Cr 2.06, 1 Li 2.07
8 O 0.7226 0.1237 0.1151  1 Li 2.01, 1 Cr 2.03, 2 Nb 2.11
9 O 0.7312 0.8543 0.8760  1 Nb 2.04, 2 Cr 2.06, 1 Li 2.08
10 O 0.2687 0.1458 0.1240  1 Nb 2.03, 2 Cr 2.06, 1 Li 2.08
11 O 0.7614 0.3925 0.8849  1 Li 2.02, 1 Cr 2.03, 2 Nb 2.11
12 O 0.7312 0.6266 0.1046  1 Nb 2.04, 2 Cr 2.06, 1 Li 2.07
13 O 0.2687 0.6457 0.6240  1 Nb 2.04, 2 Cr 2.06, 1 Li 2.08
14 O 0.7224 0.6238 0.6151  1 Li 2.01, 1 Cr 2.03, 2 Nb 2.11
15 O 0.2774 0.3764 0.3849  1 Li 2.01, 1 Cr 2.03, 2 Nb 2.11
16 O 0.2690 0.3737 0.8955  1 Nb 2.04, 2 Cr 2.06, 1 Li 2.07
17 O 0.7311 0.1265 0.6045  1 Nb 2.04, 2 Cr 2.06, 1 Li 2.07
18 O 0.7612 0.8925 0.3848  1 Li 2.02, 1 Cr 2.03, 2 Nb 2.11
19 O 0.2387 0.6074 0.1152  1 Li 2.02, 1 Cr 2.03, 2 Nb 2.11
20 O 0.7313 0.3543 0.3760  1 Nb 2.04, 2 Cr 2.06, 1 Li 2.08
21 Cr 0.0002 0.5001 0.9999  6 O 2.03-2.06
22 Cr 0.4999 0.9999 0.9998  6 O 2.03-2.06
23 Cr 0.0004 0.9996 0.5001  6 O 2.03-2.06
24 Cr 0.5001 0.5000 0.5002  6 O 2.03-2.06
25 Nb 0.4999 0.2500 0.2500  6 O 2.03-2.11
26 Nb 0.5000 0.0000 0.5000  6 O 2.04-2.11
27 Nb 0.4999 0.7499 0.7501  6 O 2.04-2.11
28 Nb 0.5001 0.5001 0.0000  6 O 2.04-2.11

=====

no.,volume (A^3/atom),energy of formation (meV per atom),final energy (eV per atom)
1,14.5,-2510,-7.1602
2,13.4,-2248,-6.9395
3,14.4,-2427,-7.2893
4,11.5,-2332,-7.5458
5,11.0,-1723,-6.0733
6,14.5,-887,-4.3137
7,11.4,-2323,-7.7610
8,11.5,-2567,-7.8112